No. 1
48
Lattice="5.276 0.000 0.000 0.023 6.815 0.000 0.543 0.031 18.295" Properties=species:S:1:pos:R:3 comment="Na2FeCSO7 | the Materials Project | PBE+U | relaxed" dft_energy_ev_per_atom=-6.337 mass_density_g_cm3=2.60 formation_enthalpy_0k_ev_per_fu=-23.994 pbc="T T T"
Na 0.000 0.000 0.000
Na 0.278 0.018 9.145
Na 2.543 3.417 3.790
Na 2.831 6.776 12.954
Na 2.829 3.433 12.954
Na 2.577 6.751 3.788
Na 5.817 3.377 18.290
Na 5.552 3.369 9.131
Fe 0.456 5.107 14.330
Fe 0.207 5.095 5.173
Fe 2.912 1.701 16.914
Fe 2.659 1.692 7.767
C 2.688 1.674 1.153
C 2.964 1.694 10.299
C 5.141 5.080 2.647
C 5.421 5.103 11.794
S 3.157 5.107 16.326
S 2.891 5.095 7.181
S 5.489 1.701 14.920
S 5.218 1.682 5.767
O 0.374 2.886 5.013
O 0.654 2.905 14.174
O 0.375 0.471 5.023
O 0.649 0.491 14.179
O 0.819 1.703 16.294
O 0.552 1.685 7.137
O 1.343 5.105 12.318
O 1.071 5.095 3.152
O 1.487 1.675 0.636
O 1.769 1.693 9.763
O 2.276 5.111 5.807
O 2.552 5.106 14.951
O 2.434 3.889 7.917
O 2.715 3.903 17.072
O 2.721 6.317 17.067
O 2.472 6.305 7.931
O 3.173 1.695 11.547
O 2.917 1.677 2.398
O 3.717 1.681 5.907
O 3.988 1.703 15.056
O 3.667 1.671 0.257
O 3.954 1.694 9.416
O 4.168 5.064 3.553
O 4.438 5.105 12.687
O 4.387 5.064 7.036
O 4.658 5.103 16.190
O 4.900 5.081 1.405
O 5.198 5.099 10.549

***

No. 2
22
Lattice="5.304 0.000 0.000 0.000 6.592 0.000 -0.302 0.000 9.121" Properties=species:S:1:pos:R:3 comment="NaFeCSO7 | the Materials Project | PBE+U | relaxed" dft_energy_ev_per_atom=-6.480 mass_density_g_cm3=2.45 formation_enthalpy_0k_ev_per_fu=-20.553 pbc="T T T"
Na 1.155 0.000 2.593
Na 3.846 3.296 6.529
Fe 0.917 1.449 7.668
Fe 4.084 4.745 1.453
C 1.285 1.645 5.271
C 3.717 4.941 3.850
S 1.173 4.833 8.505
S 3.829 1.537 0.616
O 0.084 1.630 5.847
O 0.711 4.925 0.662
O 0.772 3.637 7.730
O 0.901 6.020 7.659
O 1.500 1.605 4.055
O 2.363 1.461 0.290
O 2.245 1.674 6.210
O 2.757 4.970 2.911
O 2.638 4.757 8.831
O 3.502 4.901 5.066
O 4.100 2.724 1.462
O 4.229 0.341 1.391
O 4.291 1.629 8.459
O 4.918 4.926 3.274

***

No. 3
58
Lattice="0.000 7.059 7.059 7.059 0.000 7.059 7.059 7.059 0.000" Properties=species:S:1:pos:R:3 comment="Na6Fe2C4SO16 | the Materials Project | PBE+U | relaxed" dft_energy_ev_per_atom=-6.495 mass_density_g_cm3=2.77 formation_enthalpy_0k_ev_per_fu=-58.775 pbc="T T T"
Na 5.294 5.294 1.290
Na 5.294 1.290 5.294
Na 9.299 5.294 5.294
Na 8.824 8.824 4.819
Na 8.824 4.819 8.824
Na 12.828 8.824 8.824
Na 1.290 5.294 5.294
Na 5.294 9.299 5.294
Na 5.294 5.294 9.299
Na 4.819 8.824 8.824
Na 8.824 12.828 8.824
Na 8.824 8.824 12.828
Fe 7.059 3.529 3.529
Fe 3.529 7.059 3.529
Fe 3.529 3.529 7.059
Fe 7.059 7.059 7.059
C 3.961 3.961 3.961
C 6.627 6.627 3.961
C 6.627 3.961 6.627
C 10.157 7.490 7.490
C 3.961 6.627 6.627
C 7.490 10.157 7.490
C 7.490 7.490 10.157
C 10.157 10.157 10.157
S 1.765 1.765 1.765
S 12.353 12.353 12.353
O 0.900 0.900 0.900
O 2.630 2.630 0.900
O 2.630 0.900 2.630
O 6.812 5.645 3.129
O 4.943 3.129 3.776
O 7.459 3.776 5.645
O 3.776 4.943 3.129
O 7.459 6.812 4.943
O 5.645 3.129 6.812
O 0.900 2.630 2.630
O 10.341 8.473 6.659
O 9.174 6.659 7.306
O 10.988 7.306 8.473
O 5.645 7.459 3.776
O 3.129 3.776 4.943
O 6.812 4.943 7.459
O 7.306 9.174 6.659
O 10.988 10.341 9.174
O 8.473 6.659 10.341
O 3.129 6.812 5.645
O 4.943 7.459 6.812
O 3.776 5.645 7.459
O 13.218 11.488 11.488
O 8.473 10.988 7.306
O 6.659 7.306 9.174
O 10.341 9.174 10.988
O 6.659 10.341 8.473
O 9.174 10.988 10.341
O 7.306 8.473 10.988
O 11.488 13.218 11.488
O 11.488 11.488 13.218
O 13.218 13.218 13.218

***

No. 4
40
Lattice="6.447 0.000 0.000 -3.224 5.583 0.000 0.000 0.000 16.137" Properties=species:S:1:pos:R:3 comment="Fe2C9O9 | the Materials Project | PBE+U | relaxed" dft_energy_ev_per_atom=-7.330 mass_density_g_cm3=2.08 formation_enthalpy_0k_ev_per_fu=-12.768 pbc="T T T"
Fe 0.000 3.722 2.771
Fe 0.000 3.722 5.297
Fe 3.224 1.861 10.839
Fe 3.224 1.861 13.366
C -1.562 3.696 1.839
C -1.562 3.696 6.230
C -0.773 2.369 4.034
C -0.786 5.068 4.034
C 0.804 2.383 1.839
C 0.804 2.383 6.230
C 1.665 1.853 12.103
C 2.465 0.495 9.907
C 2.465 0.495 14.298
C 0.758 5.088 1.839
C 0.758 5.088 6.230
C 1.559 3.730 4.034
C 2.420 3.201 9.907
C 2.420 3.201 14.298
C 4.010 0.515 12.103
C 3.996 3.215 12.103
C 4.786 1.887 9.907
C 4.786 1.887 14.298
O -0.698 1.921 9.267
O -0.698 1.921 14.938
O -1.865 4.239 12.103
O 0.485 1.848 12.103
O -1.211 5.227 9.267
O -1.211 5.227 14.938
O 1.843 0.504 4.034
O 1.315 1.565 1.199
O 1.315 1.565 6.869
O 1.908 4.019 9.267
O 1.908 4.019 14.938
O 1.380 5.079 12.103
O 4.434 0.357 1.199
O 4.434 0.357 6.869
O 2.739 3.735 4.034
O 5.089 1.344 4.034
O 3.921 3.662 1.199
O 3.921 3.662 6.869

***

No. 5
22
Lattice="5.941 -3.424 0.000 5.941 3.424 0.000 -2.908 0.000 8.955" Properties=species:S:1:pos:R:3 comment="FeC5O5 | the Materials Project | PBE+U | relaxed" dft_energy_ev_per_atom=-7.381 mass_density_g_cm3=1.79 polymorph_energy_ev_per_fu=0.00 formation_enthalpy_0k_ev_per_fu=-7.531 pbc="T T T"
Fe 3.760 2.281 6.716
Fe 5.214 -2.281 2.239
C 2.035 2.300 7.315
C 5.214 2.770 2.239
C 3.253 1.352 5.267
C 5.486 2.300 6.118
C 4.267 1.352 8.165
C 4.707 -1.352 0.790
C 3.489 -2.300 2.837
C 5.721 -1.352 3.688
C 3.760 -2.770 6.716
C 6.940 -2.300 1.640
O 2.091 1.101 1.259
O 2.923 0.745 4.334
O 5.214 1.609 2.239
O 0.636 -1.101 5.737
O 1.469 -0.745 8.812
O 7.505 0.745 0.143
O 8.338 1.101 3.218
O 3.760 -1.609 6.716
O 6.051 -0.745 4.621
O 6.884 -1.101 7.696

***

No. 6
22
Lattice="6.421 -3.667 0.000 6.421 3.667 0.000 -3.385 0.000 9.388" Properties=species:S:1:pos:R:3 comment="FeC5O5 | the Materials Project | PBE+U | relaxed" dft_energy_ev_per_atom=-7.282 mass_density_g_cm3=1.47 polymorph_energy_ev_per_fu=1.10 formation_enthalpy_0k_ev_per_fu=-6.435 pbc="T T T"
Fe 4.728 2.443 4.694
Fe 6.421 -2.443 0.000
C 2.757 2.543 5.370
C 3.033 2.859 9.286
C 4.233 1.231 3.256
C 6.686 2.379 4.034
C 5.278 1.483 6.292
C 2.540 -1.231 7.950
C 4.449 -2.543 0.676
C 6.970 -1.483 1.598
C 4.726 -2.859 4.592
C 4.993 -2.379 8.728
O -0.334 1.356 8.363
O 3.023 1.709 9.244
O 3.970 0.628 2.301
O 1.359 -1.356 3.668
O 2.278 -0.628 6.995
O 5.668 1.023 7.284
O 9.779 1.012 1.035
O 4.716 -1.709 4.550
O 7.360 -1.023 2.590
O 8.087 -1.012 5.729

***

No. 7
32
Lattice="3.012 0.000 0.000 0.000 8.903 0.000 -1.100 0.000 11.968" Properties=species:S:1:pos:R:3 comment="Fe2CO5 | the Materials Project | PBE+U | relaxed" dft_energy_ev_per_atom=-6.874 mass_density_g_cm3=4.22 formation_enthalpy_0k_ev_per_fu=-12.028 pbc="T T T"
Fe -0.257 0.002 3.397
Fe -0.807 4.450 9.381
Fe 1.238 2.134 1.363
Fe 0.688 2.317 7.347
Fe 1.224 6.586 4.621
Fe 0.674 6.768 10.605
Fe 2.168 8.901 8.570
Fe 2.718 4.453 2.586
C 0.525 2.063 10.327
C 1.075 2.389 4.344
C 0.836 6.514 7.624
C 1.386 6.840 1.640
O -0.302 5.414 4.154
O -0.852 7.940 10.138
O -0.818 5.570 10.885
O -0.268 7.784 4.901
O 0.210 1.498 11.379
O 0.760 2.953 5.395
O 1.207 5.540 1.778
O 0.657 7.813 7.761
O 0.642 1.338 9.189
O 1.193 3.114 3.205
O 0.719 5.789 8.763
O 1.269 7.565 2.779
O 1.255 1.089 4.206
O 0.704 3.362 10.190
O 1.151 5.950 6.572
O 1.702 7.404 0.588
O 2.180 1.118 7.067
O 2.730 3.333 1.083
O 2.764 0.962 1.829
O 2.214 3.489 7.813

***

No. 8
58
Lattice="7.865 0.000 0.000 1.349 10.464 0.000 2.687 1.820 13.440" Properties=species:S:1:pos:R:3 comment="Fe3C7O19 | the Materials Project | PBE+U | relaxed" dft_energy_ev_per_atom=-6.935 mass_density_g_cm3=1.67 formation_enthalpy_0k_ev_per_fu=-26.927 pbc="T T T"
Fe 1.088 2.357 2.416
Fe 3.255 6.587 10.538
Fe 2.558 3.849 5.076
Fe 9.343 8.435 8.364
Fe 8.646 5.697 2.903
Fe 10.812 9.927 11.024
C 3.946 10.689 7.850
C 3.630 6.627 7.428
C 5.538 8.605 11.264
C 2.986 3.832 0.549
C 4.738 3.439 7.736
C 4.591 6.020 3.866
C 4.312 1.438 3.772
C 7.589 10.846 9.668
C 7.310 6.265 9.575
C 7.162 8.846 5.704
C 8.915 8.453 12.891
C 6.362 3.680 2.177
C 8.270 5.658 6.012
C 7.954 1.595 5.590
O 1.256 6.992 1.414
O 2.958 10.181 7.456
O 2.724 7.409 7.061
O 2.527 9.950 3.391
O 1.795 3.980 3.312
O 3.652 4.668 11.173
O 1.738 0.693 3.235
O 4.949 9.706 11.358
O 3.993 6.159 8.516
O 3.702 3.482 7.171
O 4.945 11.171 8.222
O 2.651 2.702 0.680
O 5.174 7.437 11.085
O 3.300 4.950 0.430
O 4.049 2.118 4.715
O 4.479 5.135 4.652
O 4.669 6.898 3.105
O 5.773 3.364 8.276
O 7.252 11.493 10.575
O 4.648 0.792 2.865
O 6.128 8.920 5.165
O 7.231 5.386 10.335
O 7.422 7.149 8.788
O 7.852 10.166 8.725
O 8.601 7.334 13.010
O 6.726 4.848 2.355
O 9.249 9.583 12.760
O 6.956 1.113 5.218
O 8.199 8.803 6.269
O 7.908 6.125 4.924
O 6.952 2.578 2.082
O 10.162 11.591 10.205
O 8.248 7.616 2.268
O 10.106 8.304 10.128
O 9.374 2.334 10.049
O 9.176 4.875 6.379
O 8.943 2.103 5.984
O 10.645 5.293 12.026

***

No. 9
10
Lattice="4.129 -2.373 0.000 4.129 2.373 0.000 -2.759 0.000 5.195" Properties=species:S:1:pos:R:3 comment="FeCO3 | the Materials Project | PBE+U | relaxed" dft_energy_ev_per_atom=-7.435 mass_density_g_cm3=3.78 formation_enthalpy_0k_ev_per_fu=-8.949 pbc="T T T"
Fe 2.064 1.187 0.000
Fe 0.685 -1.187 2.597
C 2.060 1.187 3.896
C 3.439 -1.187 1.299
O 3.439 2.260 1.299
O 0.937 0.535 3.895
O 2.317 -0.535 1.298
O 3.182 0.535 3.897
O 4.561 -0.535 1.300
O 2.060 -2.260 3.896

***

No. 10
44
Lattice="10.211 0.000 0.000 0.000 6.463 0.000 -4.303 0.000 8.657" Properties=species:S:1:pos:R:3 comment="Fe2PCO7 | the Materials Project | PBE+U | relaxed" dft_energy_ev_per_atom=-7.078 mass_density_g_cm3=3.10 formation_enthalpy_0k_ev_per_fu=-20.960 pbc="T T T"
Fe 1.368 0.935 0.047
Fe -0.784 2.296 4.376
Fe -0.752 0.130 6.401
Fe 1.400 3.102 2.073
Fe 4.508 3.361 6.584
Fe 6.659 6.333 2.256
Fe 6.691 4.166 4.281
Fe 4.540 5.528 8.610
P -2.788 4.315 7.656
P -0.636 5.379 3.327
P 6.544 1.083 5.330
P 8.695 2.148 1.001
C 4.550 0.322 0.440
C 2.399 2.909 4.769
C 3.509 3.554 3.888
C 1.357 6.140 8.217
O -2.793 0.671 6.554
O -0.641 2.561 2.225
O -1.405 4.291 4.181
O -3.557 5.404 8.510
O -0.562 0.141 4.315
O -2.714 3.091 8.644
O -1.431 4.810 7.193
O 0.721 4.884 2.864
O 1.706 1.257 1.809
O -0.446 1.975 6.138
O -0.818 0.618 8.457
O 1.333 2.613 4.128
O 3.284 3.729 2.671
O 1.133 5.965 7.000
O 4.775 0.498 1.658
O 2.623 2.734 5.986
O 4.574 3.850 4.529
O 6.726 5.844 0.200
O 6.353 4.488 2.519
O 4.201 5.206 6.848
O 5.187 1.578 5.793
O 7.339 1.653 1.465
O 8.622 3.372 0.013
O 6.470 6.322 4.342
O 9.465 1.059 0.148
O 7.313 2.172 4.476
O 6.549 3.902 6.432
O 8.700 5.792 2.104